First-principles (r²SCAN) data for a relaxed structure of CeMn4Al8, as listed in the Materials Project database.

Cell and atoms, written as CIF:
```
data_CeMn4Al8
_cell_length_a 8.895
_cell_length_b 8.895
_cell_length_c 5.171
_cell_angle_alpha 90.00
_cell_angle_beta 90.00
_cell_angle_gamma 90.00
_symmetry_space_group_name_H-M 'I 4/m m m'
_symmetry_Int_Tables_number 139
_symmetry_space_group_name_Hall '-I 4 2'
loop_
_atom_site_label
_atom_site_type_symbol
_atom_site_fract_x
_atom_site_fract_y
_atom_site_fract_z
Ce1 Ce 0.000 0.000 0.000
Mn1 Mn 0.250 0.250 0.250
Al1 Al 0.000 0.227 0.500
Al2 Al 0.000 0.344 0.000
```

Results
The crystal system is tetragonal. Its total magnetization is 20.006 μB/cell. As for the energy of formation from the pure elements: -395 meV per atom.